Entry 1:
Entry from the Materials Project: KPrMo2O8 after structural relaxation (PBE with a Hubbard U).

Computed properties:
Total energy after the MP2020 corrections   -8.10 eV per atom
Density   4.73 g/cm3
Crystal system   monoclinic
M_tot   0.00 μB per formula unit
Formation energy from the elements   -2.507 eV/atom

```
24
Lattice="5.4957 -5.3553 0.0000 5.4957 5.3553 0.0000 -5.2951 0.0000 5.9627" Properties=species:S:1:pos:R:3 pbc="T T T"
K 1.5244 3.2088 4.4720
K 4.1720 -3.2088 1.4907
Pr 4.1720 2.8952 1.4907
Pr 1.5244 -2.8952 4.4720
Mo -0.6649 0.0237 4.5349
Mo 1.9826 -0.0238 1.5535
Mo 3.7138 0.0238 4.4091
Mo 6.3614 -0.0238 1.4278
O -2.2248 0.8128 4.1163
O 1.8250 1.6633 0.7893
O 0.4228 -0.8128 1.1349
O 0.4161 0.8144 3.3626
O 5.0958 1.1344 0.1442
O -0.8225 -1.6633 3.7707
O 3.0636 -0.8144 0.3813
O 3.2481 1.1344 2.8371
O 2.4483 -1.1344 3.1256
O 2.6328 0.8144 5.5814
O 6.5189 1.6633 2.1920
O 0.6006 -1.1344 5.8184
O 5.2803 -0.8144 2.6000
O 5.2736 0.8128 4.8277
O 3.8714 -1.6633 5.1733
O 7.9212 -0.8128 1.8464
```

Entry 2:
Entry from the Materials Project: K3Rb5Mo12O40 after structural relaxation (PBE with a Hubbard U).

Computed properties:
Total energy after the MP2020 corrections   -7.70 eV per atom
Density   3.68 g/cm3
Crystal system   triclinic
M_tot   0.00 μB per formula unit
Formation energy from the elements   -2.098 eV/atom

```
60
Lattice="8.4229 0.0000 0.0000 2.2676 10.9530 0.0000 1.5454 0.7192 11.4145" Properties=species:S:1:pos:R:3 pbc="T T T"
K 0.0000 0.0000 0.0000
K 4.0560 9.9345 4.8753
K 7.9066 4.8173 10.5826
Rb 1.6065 3.0895 6.8891
Rb 3.9950 7.5639 9.4011
Rb 6.1186 5.8332 5.7112
Rb 6.1789 8.2066 1.1817
Rb 6.3003 1.7272 3.6933
Mo 3.5570 3.7085 10.3311
Mo 2.4295 1.8415 2.6948
Mo 3.6972 4.8733 1.9725
Mo 6.4743 10.8956 8.6054
Mo 5.4768 2.9727 7.8897
Mo 4.3496 1.1087 0.2514
Mo 8.1314 8.8281 4.6229
Mo 8.5485 7.6785 8.4031
Mo 9.8182 10.7104 7.6845
Mo 8.7811 5.0595 2.8958
Mo 10.0498 8.0924 2.1806
Mo 10.4627 6.9457 5.9579
O 1.8951 5.4452 5.0589
O 0.8553 1.0728 2.7449
O 2.1592 6.1755 2.2466
O 1.8973 3.7585 2.6280
O 3.2010 8.8612 2.1303
O 3.7069 5.2077 11.2309
O 3.7458 7.1101 6.3374
O 2.2038 1.7257 0.3230
O 2.9406 1.7505 4.3557
O 4.2567 4.3182 8.5736
O 3.7804 1.7649 8.8448
O 5.6256 10.0515 9.8919
O 5.5595 10.5133 7.1846
O 4.6104 5.2554 3.3917
O 4.5488 5.7192 0.6894
O 4.1262 3.0512 1.7375
O 3.6499 0.4987 2.0091
O 4.9646 3.0619 6.2290
O 5.7027 3.0915 10.2595
O 6.4203 8.6699 4.2496
O 8.0126 11.2819 10.7662
O 6.9743 6.9108 8.4563
O 6.0099 1.0574 7.9544
O 8.0146 9.5953 8.3357
O 7.0512 3.7412 7.8399
O 8.2795 10.3258 5.5238
O 6.0602 1.2658 0.6255
O 8.3297 7.5694 6.0323
O 9.0593 7.5868 10.0637
O 8.8295 9.4358 2.8657
O 8.3524 6.8815 3.1383
O 7.9369 4.2090 4.1795
O 7.8642 4.6774 1.4766
O 10.7327 11.0930 9.1054
O 8.3990 0.6018 6.3978
O 10.2445 8.8892 7.4458
O 9.7668 6.3345 7.7168
O 9.5386 8.1837 0.5196
O 10.2755 8.2092 4.5505
O 10.2693 3.5514 9.9570
```

Entry 3:
Entry from the Materials Project: K3ReMoO8 after structural relaxation (PBE with a Hubbard U).

Computed properties:
Total energy after the MP2020 corrections   -7.36 eV per atom
Density   3.64 g/cm3
Crystal system   trigonal
Formation energy from the elements   -2.267 eV/atom

```
13
Lattice="3.1121 1.7968 7.1735 -3.1121 1.7968 7.1735 0.0000 -3.5936 7.1735" Properties=species:S:1:pos:R:3 pbc="T T T"
K 0.0000 0.0000 0.0000
K 0.0000 0.0000 4.0493
K 0.0000 0.0000 17.1359
Re 0.0000 0.0000 12.7141
Mo 0.0000 0.0000 8.5708
O -1.4372 -0.8298 12.1346
O 0.0000 -1.6963 9.1985
O -1.4690 0.8481 9.1985
O 0.0000 0.0000 6.7714
O 0.0000 0.0000 14.4591
O 1.4372 -0.8298 12.1346
O 0.0000 1.6596 12.1346
O 1.4690 0.8481 9.1985
```

Entry 4:
Entry from the Materials Project: K2Mo3SO17 after structural relaxation (PBE with a Hubbard U).

Computed properties:
Total energy after the MP2020 corrections   -6.58 eV per atom
Density   2.75 g/cm3
Crystal system   monoclinic
M_tot   0.00 μB per formula unit
Formation energy from the elements   -1.228 eV/atom

```
92
Lattice="9.3925 0.0000 0.0000 0.0000 10.9516 0.0000 -6.5184 0.0000 15.7488" Properties=species:S:1:pos:R:3 pbc="T T T"
K 0.1744 2.4314 0.0167
K -3.0848 3.0444 7.8911
K 2.5546 5.4864 2.2443
K -0.7046 10.9410 10.1187
K 3.5787 0.0106 5.6301
K 0.3195 5.4652 13.5045
K 5.9590 7.9072 7.8577
K 2.6997 8.5202 15.7321
Mo -0.1254 0.0001 3.3341
Mo -3.3846 5.4757 11.2085
Mo -3.4376 1.8831 12.2824
Mo -0.1784 3.5927 4.4080
Mo -0.1811 7.3651 4.4099
Mo -3.4403 9.0622 12.2843
Mo 6.3144 1.8893 3.4645
Mo 3.0552 3.5865 11.3389
Mo 3.0525 7.3589 11.3408
Mo 6.3117 9.0685 3.4664
Mo 2.9995 10.9514 12.4147
Mo 6.2587 5.4759 4.5403
S -1.9697 0.0014 6.1733
S -5.2289 5.4744 14.0477
S 4.8438 10.9502 9.5755
S 8.1030 5.4772 1.7011
O -3.7716 1.2189 9.9997
O -0.5124 4.2569 2.1253
O -0.5195 6.6994 2.1354
O -3.7787 9.7279 10.0098
O -0.0688 10.9502 1.5800
O -3.3280 5.4771 9.4544
O -3.9691 7.3645 11.4071
O -0.7099 9.0629 3.5327
O -0.6980 1.8908 3.5355
O -3.9572 3.5850 11.4099
O -4.0090 10.9496 12.5132
O -0.7498 5.4777 4.6388
O -1.7606 0.0132 7.6150
O -5.0198 5.4626 15.4894
O -0.6388 10.9468 5.4746
O -3.8981 5.4806 13.3490
O -0.2066 7.8420 6.0638
O -3.4658 8.5854 13.9382
O -3.4594 2.3623 13.9374
O -0.2002 3.1135 6.0630
O 1.5338 10.9486 3.8001
O -1.7254 5.4788 11.6745
O -1.7494 1.7569 11.9125
O 1.5098 3.7189 4.0381
O 1.5079 7.2439 4.0447
O -1.7513 9.1835 11.9191
O 3.0184 1.1035 0.9528
O -0.2408 4.3723 8.8272
O -0.1833 6.5681 8.9890
O 3.0759 9.8593 1.1146
O 0.1177 5.5094 8.3369
O 3.3769 10.9179 0.4625
O 1.4355 0.6166 7.8733
O -1.8237 4.8592 15.7477
O 4.6978 6.0924 0.0011
O 1.4386 10.3350 7.8756
O -0.5028 0.0336 15.2863
O 2.7564 5.4422 7.4119
O -0.2018 1.0923 14.6342
O 3.0574 4.3835 6.7598
O 3.1150 6.5793 6.9216
O -0.1443 9.8481 14.7960
O 4.6254 1.7681 3.8297
O 1.3662 3.7077 11.7041
O 1.3644 7.2327 11.7107
O 4.6236 9.1947 3.8363
O 1.3403 0.0030 11.9487
O 4.5995 5.4728 4.0743
O 3.0743 7.8381 9.6858
O 6.3335 8.5893 1.8114
O 6.3400 2.3662 1.8106
O 3.0807 3.1096 9.6850
O 3.5130 0.0048 10.2742
O 6.7722 5.4710 2.3998
O 7.8939 5.4890 0.2594
O 4.6347 10.9383 8.1338
O 6.8831 0.0020 3.2356
O 3.6239 5.4738 11.1100
O 6.8313 7.3666 4.3389
O 3.5721 9.0608 12.2133
O 3.5840 1.8887 12.2161
O 6.8432 3.5871 4.3417
O 2.9429 0.0013 14.1688
O 6.2021 5.4744 6.2944
O 6.6528 1.2236 5.7390
O 3.3936 4.2522 13.6134
O 3.3865 6.6947 13.6235
O 6.6457 9.7327 5.7491
```

Entry 5:
Entry from the Materials Project: K2MoS3O after structural relaxation (PBE with a Hubbard U).

Computed properties:
Total energy after the MP2020 corrections   -5.60 eV per atom
Density   2.41 g/cm3
Crystal system   orthorhombic
Formation energy from the elements   -1.258 eV/atom

```
28
Lattice="9.3399 0.0000 0.0000 0.0000 7.2942 0.0000 0.0000 0.0000 11.5642" Properties=species:S:1:pos:R:3 pbc="T T T"
K 0.4474 1.8236 2.2277
K 1.4920 5.4707 4.3593
K 3.1780 1.8236 10.1414
K 4.2226 5.4707 8.0098
K 5.1173 1.8236 3.5544
K 6.1619 5.4707 1.4228
K 7.8480 1.8236 7.2050
K 8.8925 5.4707 9.3365
Mo 2.2349 5.4707 0.5551
Mo 2.4351 1.8236 6.3372
Mo 6.9048 5.4707 5.2270
Mo 7.1050 1.8236 11.0091
S 0.0933 5.4707 1.1286
S 1.4587 0.0222 7.2020
S 1.4587 3.6249 7.2020
S 3.2113 3.6693 1.4199
S 3.2113 7.2720 1.4199
S 4.5767 1.8236 6.9107
S 4.7632 5.4707 4.6536
S 6.1286 0.0222 10.1444
S 6.1286 3.6249 10.1444
S 7.8812 3.6693 4.3622
S 7.8812 7.2720 4.3622
S 9.2466 1.8236 10.4357
O 2.2723 1.8236 4.5746
O 2.3977 5.4707 10.3567
O 6.9422 1.8236 1.2075
O 7.0677 5.4707 6.9897
```

Entry 6:
Entry from the Materials Project: K2MoSO3 after structural relaxation (PBE with a Hubbard U).

Computed properties:
Total energy after the MP2020 corrections   -6.47 eV per atom
Density   2.80 g/cm3
Crystal system   monoclinic
M_tot   0.00 μB per formula unit
Formation energy from the elements   -1.895 eV/atom

```
14
Lattice="6.5311 -3.1226 0.0000 6.5311 3.1226 0.0000 -2.6601 0.0000 7.4021" Properties=species:S:1:pos:R:3 pbc="T T T"
K -0.6822 0.0000 2.1805
K 2.2126 0.0000 5.7013
K 8.1894 0.0000 1.7008
K 11.0842 0.0000 5.2215
Mo 3.7892 0.0000 2.1581
Mo 6.6128 0.0000 5.2440
S 2.1033 0.0000 0.6479
S 8.2987 0.0000 6.7542
O 3.6450 1.4735 3.1675
O 6.7570 1.4735 4.2345
O 5.3704 0.0000 1.3305
O 5.0316 0.0000 6.0716
O 3.6450 -1.4735 3.1675
O 6.7570 -1.4735 4.2345
```

Entry 7:
Entry from the Materials Project: K4MoS3O14 after structural relaxation (PBE with a Hubbard U).

Computed properties:
Total energy after the MP2020 corrections   -6.56 eV per atom
Density   2.59 g/cm3
Crystal system   orthorhombic
M_tot   0.05 μB per formula unit
Formation energy from the elements   -2.150 eV/atom

```
88
Lattice="7.8502 0.0000 0.0000 0.0000 17.3750 0.0000 0.0000 0.0000 10.7736" Properties=species:S:1:pos:R:3 pbc="T T T"
K 0.4821 1.5648 2.6191
K 0.4821 7.1228 2.6191
K 1.8787 1.9279 6.5701
K 1.8787 6.7596 6.5701
K 2.0464 10.6154 1.1833
K 2.0464 15.4471 1.1833
K 3.4430 10.2523 8.0059
K 3.4430 15.8103 8.0059
K 4.4071 1.5648 2.7677
K 4.4071 7.1228 2.7677
K 5.8038 1.9279 9.5902
K 5.8038 6.7596 9.5902
K 5.9715 10.6154 4.2034
K 5.9715 15.4471 4.2034
K 7.3681 10.2523 8.1545
K 7.3681 15.8103 8.1545
Mo 1.3751 4.3438 10.0570
Mo 2.5500 13.0313 4.6703
Mo 5.3002 4.3438 6.1033
Mo 6.4751 13.0313 0.7165
S 0.9411 13.0313 9.7206
S 1.8448 9.8246 4.7372
S 1.8448 16.2380 4.7372
S 2.0803 1.1371 10.1240
S 2.0803 7.5504 10.1240
S 2.9840 4.3438 4.3338
S 4.8662 13.0313 6.4398
S 5.7699 9.8246 0.6496
S 5.7699 16.2380 0.6496
S 6.0054 1.1371 6.0364
S 6.0054 7.5504 6.0364
S 6.9090 4.3438 1.0530
O 0.5180 4.3438 1.4660
O 0.8193 10.1985 3.7485
O 0.8161 13.0313 0.4906
O 0.8193 15.8640 3.7485
O 0.9359 13.0313 5.2736
O 1.0359 2.3204 10.2075
O 1.0359 6.3671 10.2075
O 1.3069 8.7234 9.6875
O 1.3069 17.3392 9.6875
O 1.3121 9.6542 6.1034
O 1.3121 16.4084 6.1034
O 1.5066 4.3438 8.3315
O 1.6125 11.8012 9.3019
O 1.6125 14.2614 9.3019
O 2.3125 3.1137 3.9151
O 2.3125 5.5738 3.9151
O 2.4185 13.0313 2.9447
O 2.6130 0.9667 0.7166
O 2.6130 7.7208 0.7166
O 2.6182 0.0358 4.3007
O 2.6182 8.6517 4.3007
O 2.8891 11.0079 4.8207
O 2.8891 15.0546 4.8207
O 2.9892 4.3438 10.6604
O 3.1058 1.5110 9.1353
O 3.1090 4.3438 5.8774
O 3.1058 7.1765 9.1353
O 3.4071 13.0313 6.8528
O 4.4431 4.3438 3.9208
O 4.7444 10.1985 1.6383
O 4.7411 13.0313 4.8962
O 4.7444 15.8640 1.6383
O 4.8610 13.0313 0.1132
O 4.9610 2.3204 5.9529
O 4.9610 6.3671 5.9529
O 5.2320 8.7234 6.4729
O 5.2320 17.3392 6.4729
O 5.2372 9.6542 10.0569
O 5.2372 16.4084 10.0569
O 5.4317 4.3438 7.8289
O 5.5376 11.8012 6.8584
O 5.5376 14.2614 6.8584
O 6.2376 3.1137 1.4716
O 6.2376 5.5738 1.4716
O 6.3436 13.0313 2.4421
O 6.5381 0.9667 4.6701
O 6.5381 7.7208 4.6701
O 6.5433 0.0358 1.0861
O 6.5433 8.6517 1.0861
O 6.8142 11.0079 0.5661
O 6.8142 15.0546 0.5661
O 6.9143 4.3438 5.4999
O 7.0308 1.5110 7.0251
O 7.0341 4.3438 10.2830
O 7.0308 7.1765 7.0251
O 7.3322 13.0313 9.3076
```

Entry 8:
Entry from the Materials Project: K2MoS2O10 after structural relaxation (PBE with a Hubbard U).

Computed properties:
Total energy after the MP2020 corrections   -6.80 eV per atom
Density   2.69 g/cm3
Crystal system   monoclinic
M_tot   0.00 μB per formula unit
Formation energy from the elements   -2.075 eV/atom

```
60
Lattice="9.1632 0.0000 0.0000 0.0000 12.7605 0.0000 -3.4576 0.0000 8.4227" Properties=species:S:1:pos:R:3 pbc="T T T"
K 0.9214 1.5254 1.7339
K -0.8074 4.8548 5.9452
K 0.3712 0.2027 5.8919
K 2.1000 6.1776 1.6805
K 3.6056 6.5829 6.7422
K 5.3344 12.5578 2.5308
K 6.5130 7.9056 2.4775
K 4.7842 11.2351 6.6889
Mo 0.2908 8.5182 5.5064
Mo 2.0196 10.6225 1.2950
Mo 3.6860 2.1380 7.1277
Mo 5.4148 4.2422 2.9163
S -2.3883 8.1938 7.3604
S -0.6595 10.9469 3.1490
S 4.1519 2.5538 0.2275
S 2.4231 3.8264 4.4388
S 3.2825 8.9340 3.9839
S 1.5537 10.2067 8.1952
S 6.3651 1.8136 5.2737
S 8.0939 4.5667 1.0623
O -2.2802 6.7382 7.2915
O -0.5514 12.4024 3.0801
O -1.4339 2.3113 5.3872
O 0.2949 4.0689 1.1759
O -1.6123 8.8263 6.1605
O 0.1165 10.3143 1.9491
O -0.1615 7.6920 4.0526
O -1.8903 11.4486 8.2639
O 1.7402 8.6694 0.2006
O 0.0114 10.4713 4.4120
O 0.5782 7.2310 6.6279
O 2.3070 11.9096 2.4166
O 1.6773 2.6013 4.2040
O -0.0515 3.7789 8.4154
O 3.3487 1.3318 0.2457
O 1.6199 5.0485 4.4571
O 2.4374 8.9932 2.7386
O 0.7086 10.1475 6.9500
O 2.2757 8.7676 5.1608
O 4.0045 10.3731 0.9495
O 1.7011 2.3874 7.4732
O 3.4299 3.9929 3.2619
O 4.9970 2.6130 1.4728
O 3.2682 3.7673 5.6841
O 4.0857 7.7120 3.9656
O 2.3569 11.4287 8.1770
O 5.7571 8.9816 0.0074
O 4.0282 10.1591 4.2187
O 3.3985 0.8508 6.0061
O 5.1273 5.5294 1.7948
O 5.6942 2.2892 4.0107
O 3.9654 4.0911 8.2221
O 7.5959 1.3118 0.1588
O 5.8671 5.0684 4.3702
O 5.5890 2.4461 6.4736
O 7.3178 3.9341 2.2622
O 5.4106 8.6916 7.2468
O 7.1394 10.4491 3.0355
O 6.2569 0.3580 5.3426
O 7.9858 6.0222 1.1312
```